#i
HfMg6Mn: relaxed, PBE-GGA.

a = 4.9874 Å, b = 6.1364 Å, c = 11.0803 Å
α = 90.00°, β = 90.00°, γ = 90.00°
Last column: nearest neighbours and their distance in Å.
Sites, in units of the cell vectors:
1 Hf 0.5000 0.0000 0.6724  10 Mg 3.05-3.19, 2 Mn 3.07
2 Hf 0.5000 0.5000 0.1724  10 Mg 3.05-3.19, 2 Mn 3.07
3 Mg 0.0000 0.7470 0.5866  8 Mg 3.02-3.31, 2 Mn 3.03, 2 Hf 3.09
4 Mg 0.0000 0.5000 0.8224  10 Mg 3.02-3.31, 2 Mn 3.07
5 Mg 0.0000 0.2530 0.5866  8 Mg 3.02-3.31, 2 Mn 3.03, 2 Hf 3.09
6 Mg 0.5000 0.2527 0.4206  8 Mg 3.04-3.13, 2 Mn 3.06-3.27, 2 Hf 3.14-3.19
7 Mg 0.0000 0.7530 0.0866  8 Mg 3.02-3.31, 2 Mn 3.03, 2 Hf 3.09
8 Mg 0.5000 0.7473 0.4206  8 Mg 3.04-3.13, 2 Mn 3.06-3.27, 2 Hf 3.14-3.19
9 Mg 0.0000 0.0000 0.3224  10 Mg 3.02-3.31, 2 Mn 3.07
10 Mg 0.0000 0.0000 0.8302  2 Hf 3.05, 10 Mg 3.07-3.22
11 Mg 0.5000 0.2473 0.9206  8 Mg 3.04-3.13, 2 Mn 3.06-3.27, 2 Hf 3.14-3.19
12 Mg 0.5000 0.7527 0.9206  8 Mg 3.04-3.13, 2 Mn 3.06-3.27, 2 Hf 3.14-3.19
13 Mg 0.0000 0.2470 0.0866  8 Mg 3.02-3.31, 2 Mn 3.03, 2 Hf 3.09
14 Mg 0.0000 0.5000 0.3302  2 Hf 3.05, 10 Mg 3.07-3.22
15 Mn 0.5000 0.5000 0.6605  10 Mg 3.03-3.27, 2 Hf 3.07
16 Mn 0.5000 0.0000 0.1605  10 Mg 3.03-3.27, 2 Hf 3.07

---

#ii
HfMg6Mn: relaxed, PBE-GGA.

a = 4.9082 Å, b = 6.1711 Å, c = 11.1187 Å
α = 90.00°, β = 90.00°, γ = 90.00°
Last column: nearest neighbours and their distance in Å.
Sites, in units of the cell vectors:
1 Mg 0.0000 0.2564 0.0801  1 Mn 2.97, 8 Mg 3.01-3.19, 2 Hf 3.11
2 Mg 0.5000 0.7426 0.4231  8 Mg 2.99-3.27, 2 Hf 3.02-3.34, 2 Mn 3.13
3 Mg 0.5000 0.7574 0.9231  8 Mg 2.99-3.27, 2 Hf 3.02-3.34, 2 Mn 3.13
4 Mg 0.0000 0.7436 0.0801  1 Mn 2.97, 8 Mg 3.01-3.19, 2 Hf 3.11
5 Mg 0.5000 0.2574 0.4231  8 Mg 2.99-3.27, 2 Hf 3.02-3.34, 2 Mn 3.13
6 Mg 0.0000 0.7564 0.5801  1 Mn 2.97, 8 Mg 3.01-3.19, 2 Hf 3.11
7 Mg 0.5000 0.2426 0.9231  8 Mg 2.99-3.27, 2 Hf 3.02-3.34, 2 Mn 3.13
8 Mg 0.5000 0.5000 0.6665  10 Mg 3.05-3.27, 2 Hf 3.09
9 Mg 0.0000 0.5000 0.8289  10 Mg 3.05-3.19, 2 Mn 3.09
10 Mg 0.5000 0.0000 0.1665  10 Mg 3.05-3.27, 2 Hf 3.09
11 Mg 0.0000 0.0000 0.3289  10 Mg 3.05-3.19, 2 Mn 3.09
12 Mg 0.0000 0.2436 0.5801  1 Mn 2.97, 8 Mg 3.01-3.19, 2 Hf 3.11
13 Hf 0.5000 0.5000 0.1872  2 Mn 2.81, 8 Mg 3.02-3.11
14 Hf 0.5000 0.0000 0.6872  2 Mn 2.81, 8 Mg 3.02-3.11
15 Mn 0.0000 0.5000 0.3110  2 Hf 2.81, 8 Mg 2.97-3.13
16 Mn 0.0000 0.0000 0.8110  2 Hf 2.81, 8 Mg 2.97-3.13

---

Stability ranking, top entry: #ii; the second entry is 0.033 eV/atom less favorable.